A geometry-optimized Cu4O3 structure. Source: the Materials Project database, functional meta-GGA r2SCAN.

```
Cu4O3
1.0
-2.8953 2.8953 4.9462
2.8953 -2.8953 4.9462
2.8953 2.8953 -4.9462
Cu O
8 6
direct
0.0000 0.0000 0.0000
0.0000 0.0000 0.5000
0.0000 0.5000 0.0000
0.0000 0.5000 0.5000
0.5000 0.0000 0.0000
0.5000 0.0000 0.5000
0.5000 0.5000 0.0000
0.5000 0.5000 0.5000
0.1134 0.3634 0.7500
0.3634 0.1134 0.2500
0.3750 0.6250 0.7500
0.6250 0.3750 0.2500
0.6366 0.8866 0.7500
0.8866 0.6366 0.2500
```

=====

A geometry-optimized Cu2O structure. Source: the Materials Project database, functional meta-GGA r2SCAN.

```
Cu2O
1.0
4.2467 0.0000 0.0000
0.0000 4.2467 0.0000
0.0000 0.0000 4.2467
Cu O
4 2
direct
0.0000 0.0000 0.0000
0.0000 0.5000 0.5000
0.5000 0.0000 0.5000
0.5000 0.5000 0.0000
0.2500 0.2500 0.2500
0.7500 0.7500 0.7500
```

=====

A geometry-optimized CuP2O6 structure. Source: the Materials Project database, functional meta-GGA r2SCAN.

```
CuP2O6
1.0
6.3420 -4.0269 0.0000
6.3420 4.0269 0.0000
-4.5513 0.0000 8.3509
Cu P O
4 8 24
direct
0.0000 0.5000 0.5000
0.0543 0.9457 0.7500
0.5000 0.0000 0.0000
0.9457 0.0543 0.2500
0.2452 0.7315 0.0229
0.2685 0.7548 0.4771
0.3084 0.3178 0.3032
0.3178 0.3084 0.8032
0.6822 0.6916 0.1968
0.6916 0.6822 0.6968
0.7315 0.2452 0.5229
0.7548 0.2685 0.9771
0.0673 0.8426 0.0875
0.1264 0.3108 0.3266
0.1574 0.9327 0.4125
0.1951 0.7306 0.5915
0.2038 0.3449 0.6454
0.2484 0.4994 0.9455
0.2694 0.8049 0.9085
0.2869 0.5500 0.3327
0.3108 0.1264 0.8266
0.3449 0.2038 0.1454
0.4500 0.7131 0.1673
0.4994 0.2484 0.4455
0.5006 0.7516 0.5545
0.5500 0.2869 0.8327
0.6551 0.7962 0.8546
0.6892 0.8736 0.1734
0.7131 0.4500 0.6673
0.7306 0.1951 0.0915
0.7516 0.5006 0.0545
0.7962 0.6551 0.3546
0.8049 0.2694 0.4085
0.8426 0.0673 0.5875
0.8736 0.6892 0.6734
0.9327 0.1574 0.9125
```

=====

no.,size of the total moment (μB per cell),electronic total energy (eV for the cell shown),energy of formation (eV per atom)
1,3.955,-131.83,-0.658
2,0.000,-58.33,-0.499
3,4.000,-330.92,-2.005